1.
{
  "formula": "PrEr3",
  "functional": "GGA-PBE",
  "state": "relaxed",
  "de_polymorph_ev_per_atom": 0.007,
  "spacegroup": "Pm-3m (221)",
  "formation_enthalpy_0k_ev_per_atom": 0.03,
  "cell": [[5.0399, 0.0000, 0.0000], [0.0000, 5.0399, 0.0000], [0.0000, 0.0000, 5.0399]],
  "species": ["Pr", "Er", "Er", "Er"],
  "frac_coords": [[0.0000, 0.0000, 0.0000], [0.0000, 0.5000, 0.5000], [0.5000, 0.0000, 0.5000], [0.5000, 0.5000, 0.0000]]
}


2.
{
  "formula": "BaCo2As2",
  "functional": "GGA-PBE",
  "state": "relaxed",
  "spacegroup": "I4/mmm (139)",
  "formation_enthalpy_0k_ev_per_atom": -0.62,
  "cell": [[3.9910, 0.0000, 0.0000], [0.0000, 3.9910, 0.0000], [0.0000, 0.0000, 12.6450]],
  "species": ["Ba", "Ba", "Co", "Co", "Co", "Co", "As", "As", "As", "As"],
  "frac_coords": [[0.0000, 0.0000, 0.0000], [0.5000, 0.5000, 0.5000], [0.0000, 0.5000, 0.2500], [0.0000, 0.5000, 0.7500], [0.5000, 0.0000, 0.2500], [0.5000, 0.0000, 0.7500], [0.0000, 0.0000, 0.3457], [0.0000, 0.0000, 0.6543], [0.5000, 0.5000, 0.1543], [0.5000, 0.5000, 0.8457]]
}


3.
{
  "formula": "RbAuBr3",
  "functional": "GGA-PBE",
  "state": "relaxed",
  "spacegroup": "Pm-3m (221)",
  "m_tot_mub_per_atom": 0.0001,
  "formation_enthalpy_0k_ev_per_atom": -1.14,
  "cell": [[5.4370, 0.0000, 0.0000], [0.0000, 5.4370, 0.0000], [0.0000, 0.0000, 5.4370]],
  "species": ["Rb", "Au", "Br", "Br", "Br"],
  "frac_coords": [[0.0000, 0.0000, 0.0000], [0.5000, 0.5000, 0.5000], [0.0000, 0.5000, 0.5000], [0.5000, 0.0000, 0.5000], [0.5000, 0.5000, 0.0000]]
}


4.
{
  "formula": "TiFe3N",
  "functional": "GGA-PBE",
  "state": "relaxed",
  "spacegroup": "Pm-3m (221)",
  "m_tot_mub_per_atom": 0.3305,
  "formation_enthalpy_0k_ev_per_atom": -0.34,
  "cell": [[3.7380, 0.0000, 0.0000], [0.0000, 3.7380, 0.0000], [0.0000, 0.0000, 3.7380]],
  "species": ["Ti", "Fe", "Fe", "Fe", "N"],
  "frac_coords": [[0.0000, 0.0000, 0.0000], [0.0000, 0.5000, 0.5000], [0.5000, 0.0000, 0.5000], [0.5000, 0.5000, 0.0000], [0.5000, 0.5000, 0.5000]]
}